Below is Ho2S3O12 after structural relaxation, with properties calculated at the PBE level.

abc: 9.534 9.534 9.534
angles: 57.93 57.93 57.93
Fractional positions:
Ho: 0.144 0.144 0.144
Ho: 0.356 0.356 0.356
Ho: 0.644 0.644 0.644
Ho: 0.856 0.856 0.856
S: 0.037 0.750 0.463
S: 0.250 0.537 0.963
S: 0.463 0.037 0.750
S: 0.537 0.963 0.250
S: 0.750 0.463 0.037
S: 0.963 0.250 0.537
O: 0.009 0.774 0.618
O: 0.064 0.907 0.303
O: 0.093 0.697 0.936
O: 0.118 0.275 0.509
O: 0.197 0.593 0.436
O: 0.226 0.382 0.991
O: 0.274 0.509 0.118
O: 0.303 0.064 0.907
O: 0.382 0.991 0.226
O: 0.407 0.564 0.803
O: 0.436 0.197 0.593
O: 0.491 0.882 0.726
O: 0.509 0.118 0.274
O: 0.564 0.803 0.407
O: 0.593 0.436 0.197
O: 0.618 0.009 0.774
O: 0.697 0.936 0.093
O: 0.726 0.491 0.882
O: 0.774 0.618 0.009
O: 0.803 0.407 0.564
O: 0.882 0.726 0.491
O: 0.907 0.303 0.064
O: 0.936 0.093 0.697
O: 0.991 0.226 0.382

Below is Ho2S3O20 after structural relaxation, with properties calculated at the PBE level.

abc: 7.491 7.491 18.249
angles: 98.35 98.35 52.23
Fractional positions:
Ho: 0.151 0.187 0.394
Ho: 0.187 0.151 0.894
Ho: 0.813 0.849 0.106
Ho: 0.849 0.813 0.606
S: 0.189 0.243 0.090
S: 0.243 0.189 0.590
S: 0.294 0.706 0.750
S: 0.706 0.294 0.250
S: 0.757 0.811 0.410
S: 0.811 0.757 0.910
O: 0.080 0.756 0.711
O: 0.090 0.440 0.589
O: 0.091 0.233 0.014
O: 0.103 0.886 0.372
O: 0.113 0.185 0.148
O: 0.114 0.897 0.128
O: 0.117 0.476 0.113
O: 0.134 0.799 0.565
O: 0.185 0.113 0.648
O: 0.201 0.866 0.935
O: 0.233 0.091 0.514
O: 0.244 0.920 0.789
O: 0.270 0.341 0.816
O: 0.310 0.378 0.429
O: 0.341 0.270 0.316
O: 0.378 0.310 0.929
O: 0.391 0.531 0.805
O: 0.440 0.090 0.089
O: 0.469 0.609 0.695
O: 0.476 0.117 0.613
O: 0.524 0.883 0.387
O: 0.531 0.391 0.305
O: 0.560 0.910 0.911
O: 0.609 0.469 0.195
O: 0.622 0.690 0.071
O: 0.659 0.730 0.684
O: 0.690 0.622 0.571
O: 0.730 0.659 0.184
O: 0.756 0.080 0.211
O: 0.767 0.909 0.486
O: 0.799 0.134 0.065
O: 0.815 0.887 0.352
O: 0.866 0.201 0.435
O: 0.883 0.524 0.887
O: 0.886 0.103 0.872
O: 0.887 0.815 0.852
O: 0.897 0.114 0.628
O: 0.909 0.767 0.986
O: 0.910 0.560 0.411
O: 0.920 0.244 0.289

Values from the calculation:
The value obtained for the magnetic moment is 12.3 μB/f.u.

Below is Ho2ZnTe2S2O14 after structural relaxation, with properties calculated at the PBE level.

abc: 5.282 7.896 8.155
angles: 63.94 73.38 85.29
Fractional positions:
Ho: 0.081 0.253 0.016
Ho: 0.919 0.747 0.984
Zn: 0.000 0.000 0.500
Te: 0.485 0.727 0.663
Te: 0.515 0.273 0.337
S: 0.240 0.754 0.249
S: 0.760 0.246 0.751
O: 0.111 0.593 0.251
O: 0.132 0.768 0.431
O: 0.178 0.925 0.088
O: 0.247 0.560 0.896
O: 0.249 0.924 0.669
O: 0.276 0.195 0.246
O: 0.470 0.267 0.784
O: 0.530 0.733 0.216
O: 0.724 0.805 0.754
O: 0.751 0.076 0.331
O: 0.753 0.440 0.104
O: 0.822 0.075 0.912
O: 0.868 0.232 0.569
O: 0.889 0.407 0.749

Values from the calculation:
The value obtained for the magnetic moment is 0.0 μB/f.u.

Below is HoU2S3O2 after structural relaxation, with properties calculated at the PBE level.

abc: 3.799 3.799 21.195
angles: 90.00 90.00 90.00
Fractional positions:
Ho: 0.000 0.000 0.000
Ho: 0.500 0.500 0.500
U: 0.000 0.000 0.313
U: 0.000 0.000 0.687
U: 0.500 0.500 0.187
U: 0.500 0.500 0.813
S: 0.000 0.000 0.128
S: 0.000 0.000 0.500
S: 0.000 0.000 0.872
S: 0.500 0.500 0.000
S: 0.500 0.500 0.372
S: 0.500 0.500 0.628
O: 0.000 0.500 0.250
O: 0.000 0.500 0.750
O: 0.500 0.000 0.250
O: 0.500 0.000 0.750

Values from the calculation:
The value obtained for the magnetic moment is 4.8 μB/f.u.

Below is HoSb2O6 after structural relaxation, with properties calculated at the PBE level.

abc: 7.916 5.813 5.425
angles: 90.00 90.00 90.00
Fractional positions:
Ho: 0.000 0.164 0.000
Ho: 0.500 0.836 0.500
Sb: 0.248 0.732 0.980
Sb: 0.252 0.268 0.480
Sb: 0.748 0.268 0.480
Sb: 0.752 0.732 0.980
O: 0.000 0.279 0.603
O: 0.000 0.785 0.894
O: 0.188 0.431 0.154
O: 0.205 0.974 0.257
O: 0.295 0.026 0.757
O: 0.312 0.569 0.654
O: 0.500 0.215 0.394
O: 0.500 0.721 0.103
O: 0.688 0.569 0.654
O: 0.705 0.026 0.757
O: 0.795 0.974 0.257
O: 0.812 0.431 0.154

Values from the calculation:
The value obtained for the magnetic moment is 0.0 μB/f.u.

Below is HoSbO4 after structural relaxation, with properties calculated at the PBE level.

abc: 5.392 7.563 7.668
angles: 81.00 87.89 89.17
Fractional positions:
Ho: 0.213 0.391 0.341
Ho: 0.258 0.880 0.363
Ho: 0.742 0.120 0.637
Ho: 0.787 0.609 0.659
Sb: 0.240 0.305 0.840
Sb: 0.271 0.808 0.832
Sb: 0.729 0.192 0.168
Sb: 0.760 0.695 0.160
O: 0.003 0.119 0.331
O: 0.045 0.329 0.616
O: 0.085 0.812 0.063
O: 0.124 0.560 0.835
O: 0.389 0.060 0.817
O: 0.399 0.297 0.074
O: 0.459 0.621 0.302
O: 0.476 0.810 0.606
O: 0.524 0.190 0.394
O: 0.541 0.379 0.698
O: 0.601 0.703 0.926
O: 0.611 0.940 0.183
O: 0.876 0.440 0.165
O: 0.915 0.188 0.937
O: 0.955 0.671 0.384
O: 0.997 0.881 0.669

Below is Ho2Sb2O7 after structural relaxation, with properties calculated at the PBE level.

abc: 7.539 7.539 7.539
angles: 118.52 90.24 121.21
Fractional positions:
Ho: 0.000 0.000 0.000
Ho: 0.500 0.000 0.000
Ho: 0.500 0.000 0.500
Ho: 0.500 0.500 0.500
Sb: 0.000 0.000 0.500
Sb: 0.000 0.500 0.000
Sb: 0.000 0.500 0.500
Sb: 0.500 0.500 0.000
O: 0.032 0.782 0.250
O: 0.074 0.203 0.375
O: 0.074 0.699 0.871
O: 0.328 0.203 0.629
O: 0.328 0.699 0.125
O: 0.366 0.247 0.119
O: 0.372 0.753 0.619
O: 0.628 0.247 0.381
O: 0.634 0.753 0.881
O: 0.672 0.301 0.875
O: 0.672 0.797 0.371
O: 0.926 0.301 0.129
O: 0.926 0.797 0.625
O: 0.968 0.218 0.750

Values from the calculation:
The value obtained for the magnetic moment is 0.0 μB/f.u. The value obtained for the energy above the lowest structure with this stoichiometry is 49 meV/atom.

Below is Ho2SbO2 after structural relaxation, with properties calculated at the PBE level.

abc: 3.847 13.301 3.834
angles: 90.00 90.00 90.00
Fractional positions:
Ho: 0.000 0.166 0.000
Ho: 0.000 0.834 0.000
Ho: 0.500 0.334 0.500
Ho: 0.500 0.666 0.500
Sb: 0.000 0.500 0.025
Sb: 0.500 0.000 0.525
O: 0.000 0.250 0.501
O: 0.000 0.750 0.501
O: 0.500 0.250 0.001
O: 0.500 0.750 0.001

Values from the calculation:
The value obtained for the magnetic moment is 0.0 μB/f.u.

no.,E_tot (eV per cell)
1,-236.15
2,-269.95
3,-134.56
4,-136.24
5,-119.11
6,-171.96
7,-155.64
8,-73.72